<w>
VASP calculation (GGA+U) on a relaxed structure of MgAlCrO4.

a b c (Å): 5.1073 5.9573 5.1757
angles (deg): 103.53 74.81 150.49
Sites, in units of the cell vectors:
1 O 0.1427 0.5012 0.6435
2 O 0.7981 0.4745 0.3215
3 O 0.8131 0.0028 0.1930
4 Cr 0.6120 0.5199 0.0814
5 Mg 0.8022 0.0117 0.8010
6 O 0.1879 0.9965 0.8011
7 Al 0.4613 0.9894 0.4692

SG: No. 1
Crystal system: triclinic

=====

<x>
VASP calculation (GGA+U) on a relaxed structure of MgAlCrO4.

a b c (Å): 5.1879 5.9427 5.1795
angles (deg): 77.52 104.34 150.81
Sites, in units of the cell vectors:
1 Al 0.4162 0.9995 0.5869
2 O 0.8188 0.4995 0.3228
3 O 0.1799 0.4993 0.6834
4 Mg 0.2021 0.4995 0.2976
5 O 0.8567 0.9994 0.1460
6 O 0.2007 0.9994 0.8034
7 Cr 0.5318 0.4994 0.9708

SG: No. 6
Crystal system: monoclinic

=====

Preferred: <x>; penalty for the next structure: 91 meV/atom.

=====

<w>
VASP calculation (GGA+U) on a relaxed structure of Sr4Al6CrO16.

a b c (Å): 9.5866 13.4439 13.4774
angles (deg): 90.00 90.00 90.00
Sites, in units of the cell vectors:
1 O 0.2744 0.9892 0.6622
2 O 0.1044 0.6580 0.8306
3 O 0.0742 0.1372 0.6771
4 Cr 0.2004 0.9959 0.0126
5 Al 0.5117 0.7379 0.7478
6 Sr 0.9673 0.2087 0.4949
7 O 0.2360 0.3277 0.9999
8 O 0.4230 0.8175 0.6668
9 Cr 0.2996 0.4959 0.5126
10 Sr 0.5408 0.9845 0.7132
11 Al 0.4883 0.2379 0.2522
12 O 0.7723 0.6459 0.4986
13 O 0.3862 0.4529 0.6095
14 Sr 0.4743 0.2547 0.5054
15 Al 0.5009 0.7361 0.2453
16 O 0.5770 0.3175 0.3332
17 O 0.7945 0.4044 0.0715
18 O 0.6105 0.3128 0.6862
19 O 0.2945 0.4044 0.4285
20 Al 0.0009 0.7361 0.2547
21 O 0.6039 0.8184 0.8272
22 O 0.3855 0.1819 0.6689
23 Al 0.2616 0.8637 0.6252
24 Sr 0.9743 0.2547 0.9946
25 O 0.1138 0.9529 0.1095
26 O 0.2277 0.1459 0.5014
27 O 0.3860 0.5891 0.4585
28 O 0.2256 0.4892 0.1622
29 O 0.0787 0.1578 0.3281
30 O 0.6138 0.9529 0.3905
31 O 0.4213 0.6578 0.8281
32 O 0.1105 0.3128 0.8138
33 O 0.8855 0.1819 0.8311
34 O 0.2723 0.6459 0.0014
35 O 0.9213 0.6578 0.6719
36 O 0.9258 0.6372 0.3229
37 Al 0.2623 0.6119 0.8754
38 Al 0.9883 0.2379 0.2478
39 O 0.5787 0.1578 0.1719
40 Al 0.7419 0.1135 0.8725
41 O 0.6405 0.5349 0.9514
42 Sr 0.5286 0.4857 0.7678
43 O 0.8862 0.4529 0.8905
44 Sr 0.4592 0.4845 0.2868
45 O 0.1405 0.5349 0.5486
46 O 0.9257 0.3138 0.6536
47 O 0.1140 0.0891 0.9585
48 Al 0.2425 0.8602 0.3744
49 O 0.8595 0.0349 0.4514
50 O 0.8860 0.5891 0.0415
51 Cr 0.7996 0.4959 0.9874
52 Al 0.2377 0.1119 0.3754
53 O 0.8961 0.3184 0.3272
54 O 0.6044 0.6580 0.6694
55 O 0.7360 0.3277 0.5001
56 O 0.7744 0.9892 0.8378
57 O 0.8895 0.8128 0.1862
58 O 0.1145 0.6819 0.1689
59 O 0.8956 0.1580 0.1694
60 Al 0.9991 0.2361 0.7453
61 Al 0.7623 0.6119 0.6246
62 O 0.2355 0.9861 0.3401
63 O 0.3961 0.3184 0.1728
64 O 0.3595 0.0349 0.0486
65 O 0.6140 0.0891 0.5415
66 O 0.9230 0.8175 0.8332
67 Al 0.2575 0.3602 0.8744
68 O 0.0743 0.8138 0.3464
69 O 0.2645 0.4861 0.8401
70 Sr 0.0257 0.7547 0.0054
71 Sr 0.5257 0.7547 0.4946
72 Al 0.2581 0.6135 0.1275
73 Sr 0.0327 0.7087 0.5051
74 Sr 0.9592 0.4845 0.2132
75 Cr 0.7004 0.9959 0.4874
76 O 0.4258 0.6372 0.1771
77 O 0.2055 0.9044 0.9285
78 O 0.4257 0.3138 0.8464
79 Al 0.7377 0.1119 0.1246
80 Al 0.7575 0.3602 0.6256
81 O 0.3895 0.8128 0.3138
82 Al 0.4991 0.2361 0.7547
83 O 0.1039 0.8184 0.6728
84 Sr 0.9714 0.9857 0.2678
85 Sr 0.4714 0.9857 0.2322
86 O 0.5742 0.1372 0.8229
87 Al 0.7384 0.3637 0.3748
88 O 0.6145 0.6819 0.3311
89 O 0.0770 0.3175 0.1668
90 Al 0.0117 0.7379 0.7522
91 O 0.3956 0.1580 0.3306
92 O 0.7256 0.4892 0.3378
93 Sr 0.5327 0.7087 0.9949
94 O 0.7645 0.4861 0.6599
95 Al 0.2384 0.3637 0.1252
96 Sr 0.0408 0.9845 0.7868
97 Sr 0.0286 0.4857 0.7322
98 O 0.7355 0.9861 0.1599
99 Sr 0.4673 0.2087 0.0051
100 O 0.7277 0.1459 0.9986
101 O 0.2640 0.8277 0.4999
102 O 0.5743 0.8138 0.1536
103 Al 0.7425 0.8602 0.1256
104 O 0.7640 0.8277 0.0001
105 Al 0.7581 0.6135 0.3725
106 O 0.7055 0.9044 0.5715
107 Al 0.7616 0.8637 0.8748
108 Al 0.2419 0.1135 0.6275

SG: No. 33
Crystal system: orthorhombic

=====

<x>
VASP calculation (GGA+U) on a relaxed structure of Sr4Al6CrO16.

a b c (Å): 8.2663 8.2663 8.2663
angles (deg): 109.59 109.59 109.24
Sites, in units of the cell vectors:
1 O 0.6556 0.9989 0.3433
2 Al 0.7500 0.2500 0.5000
3 O 0.3371 0.6749 0.3379
4 O 0.9591 0.1020 0.8571
5 O 0.3398 0.3398 0.6796
6 O 0.0011 0.3444 0.6567
7 Sr 0.9939 0.0061 0.5000
8 Cr 0.0000 0.0000 0.0000
9 O 0.3251 0.6629 0.6621
10 O 0.8980 0.0409 0.1429
11 O 0.8980 0.7552 0.8571
12 Sr 0.5061 0.0061 0.0121
13 O 0.2448 0.1020 0.1429
14 O 0.3398 0.6602 0.0000
15 Al 0.2500 0.7500 0.5000
16 Al 0.7526 0.5021 0.2505
17 Sr 0.9939 0.4939 0.9879
18 Sr 0.5061 0.4939 0.5000
19 O 0.6602 0.3398 0.0000
20 O 0.6602 0.6602 0.3204
21 Al 0.2516 0.5021 0.7495
22 Al 0.4979 0.7484 0.2505
23 O 0.6556 0.3124 0.6567
24 O 0.6876 0.3444 0.3433
25 O 0.3371 0.9992 0.6621
26 O 0.0008 0.6629 0.3379
27 Al 0.4979 0.2474 0.7495

SG: No. 119
Crystal system: tetragonal

=====

Preferred: <w>; penalty for the next structure: 7 meV/atom.

=====

<w>
VASP calculation (GGA+U) on a relaxed structure of AlFe3F15.

a b c (Å): 10.9732 5.9501 9.2566
angles (deg): 74.81 90.00 90.00
Sites, in units of the cell vectors:
1 F 0.4095 0.1264 0.9729
2 F 0.5983 0.8785 0.6823
3 F 0.0983 0.1215 0.3177
4 F 0.6220 0.2558 0.7908
5 F 0.0901 0.7282 0.8770
6 Fe 0.4979 0.0133 0.1650
7 Fe 0.0021 0.0133 0.1650
8 F 0.9137 0.8715 0.3535
9 F 0.5901 0.2718 0.1230
10 F 0.3780 0.7442 0.2092
11 F 0.4017 0.1215 0.3177
12 F 0.2500 0.4036 0.1156
13 F 0.8780 0.2558 0.7908
14 F 0.4137 0.1285 0.6465
15 F 0.2500 0.3608 0.7780
16 F 0.1220 0.7442 0.2092
17 F 0.0899 0.7474 0.5471
18 F 0.7500 0.5795 0.5758
19 F 0.0905 0.1264 0.9729
20 F 0.7500 0.5964 0.8844
21 Fe 0.0000 0.0000 0.5000
22 Fe 0.5021 0.9867 0.8350
23 Al 0.2500 0.5617 0.2412
24 F 0.7500 0.6392 0.2220
25 F 0.5863 0.8715 0.3535
26 F 0.2500 0.4205 0.4242
27 F 0.9099 0.2718 0.1230
28 F 0.9101 0.2526 0.4529
29 F 0.5899 0.2526 0.4529
30 Al 0.7500 0.4383 0.7588
31 F 0.4099 0.7282 0.8770
32 F 0.5905 0.8736 0.0271
33 Fe 0.5000 0.0000 0.5000
34 F 0.4101 0.7474 0.5471
35 Fe 0.9979 0.9867 0.8350
36 F 0.0863 0.1285 0.6465
37 F 0.9095 0.8736 0.0271
38 F 0.9017 0.8785 0.6823

SG: No. 11
Crystal system: monoclinic

=====

<x>
VASP calculation (GGA+U) on a relaxed structure of AlFe3F15.

a b c (Å): 9.6469 5.3473 5.3473
angles (deg): 76.76 71.34 71.34
Sites, in units of the cell vectors:
1 F 0.4963 0.1781 0.8102
2 F 0.4963 0.8102 0.1781
3 F 0.8333 0.1979 0.8021
4 F 0.6547 0.5027 0.5027
5 F 0.9122 0.2557 0.2557
6 F 0.0120 0.4973 0.4973
7 F 0.7544 0.7443 0.7443
8 Fe 0.0123 0.0007 0.0007
9 F 0.1704 0.8219 0.1898
10 Fe 0.3333 0.0000 0.0000
11 F 0.5822 0.2340 0.2340
12 F 0.2576 0.2291 0.2291
13 Fe 0.6544 0.9993 0.9993
14 Al 0.8333 0.5000 0.5000
15 F 0.1704 0.1898 0.8219
16 F 0.8333 0.8021 0.1979
17 F 0.3333 0.5000 0.5000
18 F 0.4090 0.7709 0.7709
19 F 0.0845 0.7660 0.7660

SG: No. 12
Crystal system: monoclinic

=====

Preferred: <w>; penalty for the next structure: 24 meV/atom.

=====

<w>
VASP calculation (GGA+U) on a relaxed structure of AlFe4Hg2O2F.

a b c (Å): 8.4618 8.4618 8.4618
angles (deg): 107.61 107.61 113.26
Sites, in units of the cell vectors:
1 Hg 0.3661 0.8661 0.1963
2 Fe 0.0305 0.8492 0.2606
3 Fe 0.0886 0.3492 0.8187
4 Al 0.1603 0.1603 0.0000
5 O 0.5531 0.7263 0.5000
6 Fe 0.8492 0.5886 0.8187
7 Hg 0.6698 0.1698 0.8037
8 Fe 0.7699 0.0305 0.1813
9 Hg 0.8661 0.6698 0.5000
10 F 0.4724 0.4724 0.0000
11 O 0.2263 0.0531 0.5000
12 F 0.9724 0.9724 0.0000
13 Fe 0.5886 0.7699 0.7394
14 Fe 0.3492 0.5305 0.2606
15 O 0.7263 0.2263 0.1732
16 Al 0.6603 0.6603 0.0000
17 Fe 0.2699 0.0886 0.7394
18 Fe 0.5305 0.2699 0.1813
19 Hg 0.1698 0.3661 0.5000
20 O 0.0531 0.5531 0.8268

SG: No. 108
Crystal system: tetragonal

=====

<x>
VASP calculation (GGA+U) on a relaxed structure of AlFe4Hg2O2F.

a b c (Å): 7.6037 8.6866 8.6866
angles (deg): 78.96 64.04 64.04
Sites, in units of the cell vectors:
1 O 0.3857 0.5000 0.9246
2 Al 0.7521 0.0000 0.0000
3 Al 0.2521 0.0000 0.0000
4 F 0.4924 0.0000 0.0000
5 Fe 0.1303 0.8423 0.3018
6 Fe 0.9726 0.3018 0.1577
7 Hg 0.1458 0.5000 0.2725
8 O 0.8857 0.9246 0.5000
9 Fe 0.2744 0.1577 0.6982
10 Fe 0.7744 0.6982 0.1577
11 F 0.9924 0.0000 0.0000
12 O 0.3103 0.0754 0.5000
13 Hg 0.4183 0.7275 0.5000
14 Fe 0.9321 0.8423 0.6982
15 Hg 0.6458 0.2725 0.5000
16 Fe 0.6303 0.3018 0.8423
17 Hg 0.9183 0.5000 0.7275
18 Fe 0.4321 0.6982 0.8423
19 Fe 0.4726 0.1577 0.3018
20 O 0.8103 0.5000 0.0754

SG: No. 108
Crystal system: tetragonal

=====

Preferred: <w>; penalty for the next structure: 75 meV/atom.

=====

<w>
VASP calculation (GGA+U) on a relaxed structure of AlTlFe2F2.

a b c (Å): 7.6621 7.6621 7.6621
angles (deg): 129.46 129.46 74.28
Sites, in units of the cell vectors:
1 F 0.8556 0.8556 0.0000
2 Fe 0.6428 0.1428 0.7856
3 F 0.3556 0.3556 0.0000
4 Al 0.0000 0.0000 0.0000
5 Al 0.5000 0.5000 0.0000
6 Fe 0.3572 0.8572 0.2144
7 F 0.6444 0.6444 0.0000
8 Fe 0.8572 0.6428 0.5000
9 Fe 0.1428 0.3572 0.5000
10 F 0.1444 0.1444 0.0000
11 Tl 0.2500 0.7500 0.5000
12 Tl 0.7500 0.2500 0.5000

SG: No. 140
Crystal system: tetragonal

=====

<x>
VASP calculation (GGA+U) on a relaxed structure of AlTlFe2F2.

a b c (Å): 4.9345 4.9345 6.2365
angles (deg): 90.00 90.00 90.00
Sites, in units of the cell vectors:
1 F 0.0000 0.0000 0.7145
2 Fe 0.0000 0.5000 0.0000
3 Fe 0.5000 0.0000 0.0000
4 F 0.0000 0.0000 0.2855
5 Al 0.0000 0.0000 0.0000
6 Tl 0.5000 0.5000 0.5000

SG: No. 123
Crystal system: tetragonal

=====

Preferred: <w>; penalty for the next structure: 127 meV/atom.

=====

<w>
VASP calculation (GGA+U) on a relaxed structure of LiAlFeO4.

a b c (Å): 9.4623 2.9023 10.0630
angles (deg): 89.99 90.01 91.79
Sites, in units of the cell vectors:
1 Fe 0.2757 0.2459 0.8512
2 O 0.5818 0.7433 0.2849
3 Fe 0.2243 0.7541 0.3514
4 Li 0.9183 0.7071 0.3726
5 O 0.3382 0.2108 0.2571
6 Fe 0.7754 0.2463 0.6487
7 O 0.6314 0.2818 0.0583
8 O 0.6016 0.2622 0.5358
9 O 0.8686 0.7186 0.5582
10 O 0.3980 0.7380 0.4641
11 O 0.9182 0.2568 0.7849
12 O 0.8983 0.7378 0.0357
13 O 0.1020 0.2620 0.9640
14 Al 0.9989 0.7611 0.8725
15 Al 0.0013 0.2388 0.1272
16 Al 0.4987 0.7613 0.6272
17 Al 0.5011 0.2389 0.3726
18 O 0.3696 0.7160 0.9419
19 Fe 0.7247 0.7526 0.1488
20 O 0.4180 0.2568 0.7150
21 O 0.8385 0.2101 0.2429
22 O 0.0820 0.7431 0.2150
23 Li 0.4176 0.7085 0.1278
24 O 0.6615 0.7898 0.7429
25 O 0.1304 0.2840 0.4419
26 Li 0.5816 0.2936 0.8727
27 Li 0.0824 0.2916 0.6278
28 O 0.1619 0.7892 0.7570

SG: No. 4
Crystal system: monoclinic

=====

<x>
VASP calculation (GGA+U) on a relaxed structure of LiAlFeO4.

a b c (Å): 5.7052 5.7052 8.4444
angles (deg): 90.00 90.00 90.00
Sites, in units of the cell vectors:
1 O 0.0017 0.7350 0.2393
2 Fe 0.7680 0.5000 0.7500
3 Al 0.7369 0.7369 0.1250
4 Li 0.7667 0.0000 0.7500
5 O 0.5140 0.7357 0.7435
6 O 0.7357 0.4860 0.9935
7 O 0.4860 0.2643 0.2435
8 Fe 0.2320 0.5000 0.2500
9 Li 0.0000 0.2333 0.0000
10 O 0.7350 0.0017 0.0107
11 Al 0.7369 0.2631 0.3750
12 O 0.7357 0.5140 0.5065
13 O 0.5140 0.2643 0.7565
14 Li 0.2333 0.0000 0.2500
15 O 0.2643 0.5140 0.4935
16 Fe 0.5000 0.2320 0.0000
17 O 0.4860 0.7357 0.2565
18 O 0.7350 0.9983 0.4893
19 O 0.2650 0.0017 0.9893
20 Fe 0.5000 0.7680 0.5000
21 O 0.2643 0.4860 0.0065
22 Li 0.0000 0.7667 0.5000
23 Al 0.2631 0.2631 0.6250
24 O 0.9983 0.2650 0.7393
25 O 0.2650 0.9983 0.5107
26 O 0.0017 0.2650 0.2607
27 Al 0.2631 0.7369 0.8750
28 O 0.9983 0.7350 0.7607

SG: No. 95
Crystal system: tetragonal

=====

Preferred: <w>; penalty for the next structure: 6 meV/atom.